Entry from the Materials Project database: crystalline Er3Si3Ni at its relaxed geometry (meta-GGA r2SCAN).

Results
Its total energy is -0.7675 Ha/atom. As for the crystal system: monoclinic.

Lattice parameters (Å, degrees): 10.2140 4.1462 13.3962 90.00 110.60 90.00
Space group C2/m (No. 12)
Symmetry-distinct sites (fractional):
Er 0.0305 0.0000 0.3806
Er 0.1014 0.0000 0.9213
Er 0.2470 0.0000 0.2279
Si 0.0466 0.5000 0.2365
Si 0.1150 0.5000 0.0765
Si 0.1378 0.5000 0.5430
Ni 0.2473 0.5000 0.4023



Entry from the Materials Project database: crystalline Er2NiSn6 at its relaxed geometry (meta-GGA r2SCAN).

Results
Its total energy is -0.9490 Ha/atom. As for the crystal system: orthorhombic.

Lattice parameters (Å, degrees): 4.3181 22.6474 4.3655 90.00 90.00 90.00
Space group Cmmm (No. 65)
Symmetry-distinct sites (fractional):
Er 0.0000 0.1767 0.0000
Ni 0.0000 0.5000 0.5000
Sn 0.0000 0.0697 0.5000
Sn 0.0000 0.2941 0.5000
Sn 0.0000 0.4307 0.0000



Entry from the Materials Project database: crystalline ErNiSn at its relaxed geometry (meta-GGA r2SCAN).

Results
Its total energy is -0.8913 Ha/atom. As for the crystal system: orthorhombic.

Lattice parameters (Å, degrees): 7.0249 4.4239 7.5951 90.00 90.00 90.00
Space group Pnma (No. 62)
Symmetry-distinct sites (fractional):
Er 0.0130 0.2500 0.2024
Ni 0.2011 0.7500 0.4163
Sn 0.1906 0.2500 0.5876



Entry from the Materials Project database: crystalline Er7Ni2Te2 at its relaxed geometry (meta-GGA r2SCAN).

Results
Its total energy is -1.0705 Ha/atom. As for the crystal system: orthorhombic.

Lattice parameters (Å, degrees): 3.8180 15.3547 9.4974 90.00 90.00 90.00
Space group Imm2 (No. 44)
Symmetry-distinct sites (fractional):
Er 0.0000 0.0000 0.0000
Er 0.0000 0.1331 0.5854
Er 0.0000 0.3134 0.3823
Er 0.0000 0.3540 0.7288
Ni 0.0000 0.2382 0.0728
Te 0.0000 0.0000 0.3390
Te 0.0000 0.5000 0.2385



Entry from the Materials Project database: crystalline ErPO4 at its relaxed geometry (meta-GGA r2SCAN).

Results
Its total energy is -0.5325 Ha/atom. As for the crystal system: tetragonal.

Lattice parameters (Å, degrees): 6.8147 6.8147 5.9769 90.00 90.00 90.00
Space group I4_1/amd (No. 141, origin choice 2)
Symmetry-distinct sites (fractional):
Er 0.0000 0.2500 0.3750
P 0.0000 0.2500 0.8750
O 0.0000 0.0739 0.7144



Entry from the Materials Project database: crystalline Er2Pb2O7 at its relaxed geometry (meta-GGA r2SCAN).

Results
Its total energy is -0.8284 Ha/atom. As for the crystal system: cubic.

Lattice parameters (Å, degrees): 10.6019 10.6019 10.6019 90.00 90.00 90.00
Space group Fd-3m (No. 227, origin choice 2)
Symmetry-distinct sites (fractional):
Er 0.0000 0.0000 0.0000
Pb 0.0000 0.0000 0.5000
O 0.1003 0.3750 0.8750
O 0.1250 0.1250 0.1250



Entry from the Materials Project database: crystalline Er5Re2O12 at its relaxed geometry (meta-GGA r2SCAN).

Results
Its total energy is -0.7878 Ha/atom. As for the crystal system: monoclinic.

Lattice parameters (Å, degrees): 12.2511 5.5945 7.4269 90.00 107.96 90.00
Space group C2/m (No. 12)
Symmetry-distinct sites (fractional):
Er 0.0000 0.0000 0.0000
Er 0.1856 0.5000 0.3229
Er 0.1972 0.5000 0.8593
Re 0.0000 0.2140 0.5000
O 0.0009 0.5000 0.6801
O 0.0019 0.0000 0.2917
O 0.1538 0.2521 0.0727
O 0.1666 0.2541 0.5860



Entry from the Materials Project database: crystalline ErRhO3 at its relaxed geometry (meta-GGA r2SCAN).

Results
Its total energy is -0.6503 Ha/atom. As for the crystal system: orthorhombic.

Lattice parameters (Å, degrees): 5.7200 7.5302 5.1871 90.00 90.00 90.00
Space group Pnma (No. 62)
Symmetry-distinct sites (fractional):
Er 0.0849 0.2500 0.0305
Rh 0.0000 0.0000 0.5000
O 0.0550 0.7500 0.3618
O 0.1886 0.5636 0.8252